# 1
SmAl9Fe3: optimized geometry, r2SCAN.

a b c (Å): 6.7697 6.7697 6.6900
angles (deg): 82.28 82.28 136.31
Fractional positions:
Sm1 0.0000 0.0000 0.0000
Al1 0.2890 0.5152 0.2163
Al2 0.7110 0.4848 0.7837
Al3 0.4848 0.7110 0.7837
Al4 0.5152 0.2890 0.2163
Al5 0.3545 0.9994 0.6606
Al6 0.6455 0.0006 0.3394
Al7 0.0006 0.6455 0.3394
Al8 0.9994 0.3545 0.6606
Al9 0.0000 0.0000 0.5000
Fe1 0.5000 0.5000 0.5000
Fe2 0.0000 0.5000 0.0000
Fe3 0.5000 0.0000 0.0000

## Properties
ΔH_f (0 K)	-0.346	eV per atom
space-group type	No. 12

***

# 2
TbAl8Fe4: optimized geometry, r2SCAN.

a b c (Å): 4.9888 6.6459 6.6459
angles (deg): 81.91 67.99 67.99
Fractional positions:
Tb1 0.0000 0.0000 0.0000
Al1 0.3419 0.6580 0.6580
Al2 0.0000 0.3420 0.6580
Al3 0.0000 0.6580 0.3420
Al4 0.6581 0.3420 0.3420
Al5 0.2778 0.2224 0.2224
Al6 0.5000 0.7777 0.2223
Al7 0.5000 0.2223 0.7777
Al8 0.7222 0.7776 0.7776
Fe1 0.5000 0.0000 0.5000
Fe2 0.0000 0.5000 0.0000
Fe3 0.5000 0.5000 0.0000
Fe4 0.0000 0.0000 0.5000

## Properties
ΔH_f (0 K)	-0.387	eV per atom
space-group type	No. 139

***

# 3
TbAl10Fe2: optimized geometry, r2SCAN.

a b c (Å): 6.7062 6.7062 8.8860
angles (deg): 90.00 90.00 97.35
Fractional positions:
Tb1 0.8751 0.1249 0.7500
Tb2 0.1249 0.8751 0.2500
Al1 0.4120 0.1322 0.7500
Al2 0.1322 0.4120 0.2500
Al3 0.5880 0.8678 0.2500
Al4 0.8678 0.5880 0.7500
Al5 0.5211 0.7802 0.7500
Al6 0.7802 0.5211 0.2500
Al7 0.4789 0.2198 0.2500
Al8 0.2198 0.4789 0.7500
Al9 0.8396 0.1604 0.4029
Al10 0.1604 0.8396 0.5971
Al11 0.8396 0.1604 0.0971
Al12 0.1604 0.8396 0.9029
Al13 0.6245 0.3754 0.9488
Al14 0.3755 0.6246 0.0512
Al15 0.6245 0.3754 0.5512
Al16 0.3754 0.6246 0.4488
Al17 0.7723 0.7723 0.0000
Al18 0.7722 0.7722 0.5000
Al19 0.2278 0.2277 0.0000
Al20 0.2278 0.2278 0.5000
Fe1 0.5000 0.0000 0.0000
Fe2 0.0000 0.5000 0.0000
Fe3 0.5000 0.0000 0.5000
Fe4 0.0000 0.5000 0.5000

## Properties
ΔH_f (0 K)	-0.315	eV per atom
space-group type	No. 63